## Na2CuSbCl6 (GGA-PBE)

Data for a relaxed structure of Na2CuSbCl6.

Properties
MP2020-corrected energy (eV/f.u.): -35.69
Symmetry: Fm-3m, No. 225
Magnetization (μB/f.u.): 0.0

a b c (Å): 7.246 7.246 7.246
angles (deg): 60.00 60.00 60.00
Fractional coordinates of all 10 atoms:
Na (0.750, 0.750, 0.750)
Na (0.250, 0.250, 0.250)
Cu (0.500, 0.500, 0.500)
Sb (0.000, 0.000, 0.000)
Cl (0.741, 0.259, 0.259)
Cl (0.259, 0.259, 0.741)
Cl (0.259, 0.741, 0.741)
Cl (0.259, 0.741, 0.259)
Cl (0.741, 0.259, 0.741)
Cl (0.741, 0.741, 0.259)

---

## DyBO3 (GGA-PBE)

Data for a relaxed structure of DyBO3.

Properties
MP2020-corrected energy (eV/f.u.): -43.46
Largest piezoelectric modulus (C/m2): 1.66
Symmetry: Ama2, No. 40
Magnetization (μB/f.u.): 0.0

a b c (Å): 3.956 3.956 8.671
angles (deg): 90.00 90.00 117.35
Fractional coordinates of all 10 atoms:
Dy (0.052, 0.052, 0.000)
Dy (0.052, 0.052, 0.500)
B (0.502, 0.758, 0.250)
B (0.758, 0.502, 0.750)
O (0.334, 0.675, 0.104)
O (0.334, 0.675, 0.396)
O (0.892, 0.958, 0.250)
O (0.675, 0.334, 0.604)
O (0.675, 0.334, 0.896)
O (0.958, 0.892, 0.750)

---

## Na7Nb3ZnSi6O24 (GGA-PBE)

Data for a relaxed structure of Na7Nb3ZnSi6O24.

Properties
MP2020-corrected energy (eV/f.u.): -308.04
Symmetry: P3, No. 143
Magnetization (μB/f.u.): 0.0

a b c (Å): 9.138 9.138 22.475
angles (deg): 90.00 90.00 120.00
Fractional coordinates of all 123 atoms:
Na (0.640, 0.024, 0.244)
Na (0.383, 0.360, 0.244)
Na (0.976, 0.617, 0.244)
Na (0.631, 0.611, 0.745)
Na (0.980, 0.369, 0.745)
Na (0.389, 0.020, 0.745)
Na (0.310, 0.336, 0.586)
Na (0.026, 0.690, 0.586)
Na (0.664, 0.974, 0.586)
Na (0.312, 0.976, 0.086)
Na (0.664, 0.688, 0.086)
Na (0.024, 0.336, 0.086)
Na (0.964, 0.278, 0.406)
Na (0.314, 0.036, 0.406)
Na (0.722, 0.686, 0.406)
Na (0.000, 0.000, 0.491)
Na (0.000, 0.000, 0.998)
Na (0.667, 0.333, 0.831)
Na (0.667, 0.333, 0.320)
Na (0.333, 0.667, 0.166)
Na (0.333, 0.667, 0.668)
Nb (0.000, 0.000, 0.858)
Nb (0.000, 0.000, 0.647)
Nb (0.000, 0.000, 0.149)
Nb (0.667, 0.333, 0.978)
Nb (0.667, 0.333, 0.479)
Nb (0.333, 0.667, 0.018)
Nb (0.333, 0.667, 0.519)
Nb (0.333, 0.667, 0.310)
Nb (0.333, 0.667, 0.814)
Zn (0.000, 0.000, 0.348)
Zn (0.667, 0.333, 0.685)
Zn (0.667, 0.333, 0.181)
Si (0.293, 0.002, 0.254)
Si (0.709, 0.707, 0.254)
Si (0.998, 0.291, 0.254)
Si (0.289, 0.291, 0.751)
Si (0.002, 0.711, 0.751)
Si (0.709, 0.998, 0.751)
Si (0.958, 0.335, 0.586)
Si (0.377, 0.042, 0.586)
Si (0.665, 0.623, 0.586)
Si (0.958, 0.624, 0.085)
Si (0.666, 0.042, 0.085)
Si (0.376, 0.334, 0.085)
Si (0.626, 0.664, 0.916)
Si (0.039, 0.374, 0.916)
Si (0.336, 0.961, 0.916)
Si (0.623, 0.960, 0.416)
Si (0.337, 0.377, 0.416)
Si (0.040, 0.663, 0.416)
O (0.212, 0.029, 0.313)
O (0.818, 0.788, 0.313)
O (0.971, 0.182, 0.313)
O (0.184, 0.169, 0.807)
O (0.985, 0.816, 0.807)
O (0.831, 0.015, 0.807)
O (0.802, 0.970, 0.691)
O (0.169, 0.198, 0.691)
O (0.030, 0.831, 0.691)
O (0.805, 0.833, 0.194)
O (0.028, 0.195, 0.194)
O (0.167, 0.972, 0.194)
O (0.889, 0.381, 0.644)
O (0.492, 0.111, 0.644)
O (0.619, 0.508, 0.644)
O (0.893, 0.512, 0.144)
O (0.619, 0.107, 0.144)
O (0.488, 0.381, 0.144)
O (0.472, 0.303, 0.028)
O (0.830, 0.528, 0.028)
O (0.697, 0.170, 0.028)
O (0.470, 0.166, 0.527)
O (0.696, 0.530, 0.527)
O (0.834, 0.304, 0.527)
O (0.528, 0.687, 0.974)
O (0.158, 0.472, 0.974)
O (0.313, 0.842, 0.974)
O (0.519, 0.844, 0.475)
O (0.325, 0.481, 0.475)
O (0.156, 0.675, 0.475)
O (0.135, 0.633, 0.359)
O (0.499, 0.865, 0.359)
O (0.367, 0.501, 0.359)
O (0.138, 0.495, 0.857)
O (0.358, 0.862, 0.857)
O (0.505, 0.642, 0.857)
O (0.023, 0.828, 0.418)
O (0.806, 0.977, 0.418)
O (0.172, 0.194, 0.418)
O (0.023, 0.189, 0.911)
O (0.165, 0.977, 0.911)
O (0.811, 0.835, 0.911)
O (0.973, 0.161, 0.588)
O (0.188, 0.027, 0.588)
O (0.839, 0.812, 0.588)
O (0.976, 0.814, 0.089)
O (0.838, 0.024, 0.089)
O (0.186, 0.162, 0.089)
O (0.691, 0.164, 0.749)
O (0.473, 0.309, 0.749)
O (0.836, 0.527, 0.749)
O (0.679, 0.520, 0.246)
O (0.841, 0.321, 0.246)
O (0.480, 0.159, 0.246)
O (0.640, 0.494, 0.922)
O (0.854, 0.360, 0.922)
O (0.506, 0.146, 0.922)
O (0.631, 0.145, 0.423)
O (0.514, 0.369, 0.423)
O (0.855, 0.486, 0.423)
O (0.343, 0.497, 0.074)
O (0.153, 0.657, 0.074)
O (0.503, 0.847, 0.074)
O (0.342, 0.847, 0.576)
O (0.505, 0.658, 0.576)
O (0.153, 0.495, 0.576)
O (0.296, 0.819, 0.255)
O (0.523, 0.704, 0.255)
O (0.181, 0.477, 0.255)
O (0.297, 0.477, 0.754)
O (0.180, 0.703, 0.754)
O (0.523, 0.820, 0.754)

---

## SmErFe17C2 (GGA-PBE)

Data for a relaxed structure of SmErFe17C2.

Properties
Symmetry: Cm, No. 8
Magnetization (μB/f.u.): 36.1

a b c (Å): 6.475 6.475 6.509
angles (deg): 83.55 83.55 82.97
Fractional coordinates of all 21 atoms:
Sm (0.345, 0.345, 0.333)
Er (0.657, 0.657, 0.669)
Fe (0.904, 0.904, 0.903)
Fe (0.094, 0.094, 0.095)
Fe (0.715, 0.999, 0.285)
Fe (0.999, 0.286, 0.716)
Fe (0.292, 0.709, 0.998)
Fe (0.999, 0.715, 0.285)
Fe (0.709, 0.292, 0.998)
Fe (0.286, 0.999, 0.716)
Fe (0.346, 0.851, 0.343)
Fe (0.851, 0.346, 0.343)
Fe (0.344, 0.344, 0.849)
Fe (0.656, 0.147, 0.658)
Fe (0.147, 0.656, 0.658)
Fe (0.657, 0.657, 0.148)
Fe (0.000, 0.500, 0.999)
Fe (0.500, 0.000, 0.999)
Fe (0.000, 0.000, 0.500)
C (0.503, 0.994, 0.502)
C (0.994, 0.503, 0.502)

---

## HoCo2Ge2 (GGA-PBE)

Data for a relaxed structure of HoCo2Ge2.

Properties
Symmetry: I4/mmm, No. 139

a b c (Å): 5.776 5.776 5.776
angles (deg): 139.99 139.99 57.86
Fractional coordinates of all 5 atoms:
Ho (0.000, 0.000, 0.000)
Co (0.750, 0.250, 0.500)
Co (0.250, 0.750, 0.500)
Ge (0.627, 0.627, 0.000)
Ge (0.373, 0.373, 0.000)

---

## Zr6Al7Cu16H3 (GGA-PBE)

Data for a relaxed structure of Zr6Al7Cu16H3.

Properties
MP2020-corrected energy (eV/f.u.): -165.19
Symmetry: Imm2, No. 44
Magnetization (μB/f.u.): 0.0

a b c (Å): 8.507 8.507 8.507
angles (deg): 120.34 120.09 89.63
Fractional coordinates of all 32 atoms:
Zr (0.797, 0.204, 0.999)
Zr (0.797, 0.798, 0.594)
Zr (0.788, 0.788, 0.000)
Zr (0.204, 0.798, 0.001)
Zr (0.204, 0.204, 0.406)
Zr (0.207, 0.207, 0.000)
Al (0.498, 0.497, 0.497)
Al (0.498, 0.001, 0.002)
Al (0.500, 0.000, 0.500)
Al (0.000, 0.001, 0.503)
Al (0.000, 0.497, 0.998)
Al (0.999, 0.499, 0.500)
Al (0.500, 0.500, 0.000)
Cu (0.470, 0.822, 0.648)
Cu (0.175, 0.822, 0.352)
Cu (0.169, 0.827, 0.659)
Cu (0.169, 0.510, 0.341)
Cu (0.514, 0.171, 0.343)
Cu (0.827, 0.171, 0.657)
Cu (0.829, 0.169, 0.340)
Cu (0.829, 0.490, 0.660)
Cu (0.859, 0.619, 0.239)
Cu (0.380, 0.619, 0.761)
Cu (0.381, 0.620, 0.239)
Cu (0.381, 0.142, 0.761)
Cu (0.142, 0.381, 0.761)
Cu (0.619, 0.381, 0.239)
Cu (0.619, 0.379, 0.760)
Cu (0.619, 0.858, 0.240)
H (0.030, 0.030, 0.000)
H (0.728, 0.908, 0.820)
H (0.088, 0.908, 0.180)

---

## Ba8Y4Cu12O27 (GGA-PBE)

Data for a relaxed structure of Ba8Y4Cu12O27.

Properties
MP2020-corrected energy (eV/f.u.): -335.97
Symmetry: C2/m, No. 12
Magnetization (μB/f.u.): 0.6

a b c (Å): 8.667 8.667 12.532
angles (deg): 74.10 74.10 54.18
Fractional coordinates of all 51 atoms:
Ba (0.918, 0.918, 0.811)
Ba (0.176, 0.176, 0.811)
Ba (0.420, 0.420, 0.817)
Ba (0.671, 0.671, 0.817)
Ba (0.082, 0.082, 0.189)
Ba (0.329, 0.329, 0.183)
Ba (0.580, 0.580, 0.183)
Ba (0.824, 0.824, 0.189)
Y (0.250, 0.250, 0.499)
Y (0.750, 0.750, 0.501)
Y (0.500, 0.500, 0.500)
Y (0.000, 0.000, 0.500)
Cu (0.089, 0.589, 0.643)
Cu (0.589, 0.089, 0.643)
Cu (0.339, 0.840, 0.642)
Cu (0.840, 0.339, 0.642)
Cu (0.160, 0.661, 0.358)
Cu (0.661, 0.160, 0.358)
Cu (0.411, 0.911, 0.357)
Cu (0.911, 0.411, 0.357)
Cu (0.000, 0.500, 0.000)
Cu (0.500, 0.000, 0.000)
Cu (0.260, 0.740, 0.000)
Cu (0.740, 0.260, 0.000)
O (0.345, 0.345, 0.621)
O (0.845, 0.845, 0.622)
O (0.595, 0.595, 0.622)
O (0.095, 0.095, 0.620)
O (0.405, 0.405, 0.378)
O (0.905, 0.905, 0.380)
O (0.655, 0.655, 0.379)
O (0.155, 0.155, 0.378)
O (0.970, 0.470, 0.620)
O (0.470, 0.970, 0.620)
O (0.220, 0.720, 0.620)
O (0.720, 0.220, 0.620)
O (0.030, 0.530, 0.380)
O (0.530, 0.030, 0.380)
O (0.280, 0.780, 0.380)
O (0.780, 0.280, 0.380)
O (0.040, 0.540, 0.841)
O (0.540, 0.040, 0.841)
O (0.271, 0.805, 0.848)
O (0.805, 0.271, 0.848)
O (0.195, 0.729, 0.152)
O (0.729, 0.195, 0.152)
O (0.460, 0.960, 0.159)
O (0.960, 0.460, 0.159)
O (0.249, 0.249, 0.000)
O (0.500, 0.500, 0.000)
O (0.751, 0.751, 0.000)

---

## CsSi3O7 (GGA-PBE)

Data for a relaxed structure of CsSi3O7.

Properties
MP2020-corrected energy (eV/f.u.): -83.55
Symmetry: P2_12_12_1, No. 19
Magnetization (μB/f.u.): 1.0

a b c (Å): 5.020 10.532 13.752
angles (deg): 90.00 90.00 90.00
Fractional coordinates of all 44 atoms:
Cs (0.045, 0.908, 0.748)
Cs (0.455, 0.092, 0.248)
Cs (0.545, 0.592, 0.252)
Cs (0.955, 0.408, 0.752)
Si (0.018, 0.082, 0.490)
Si (0.482, 0.918, 0.990)
Si (0.518, 0.418, 0.510)
Si (0.982, 0.582, 0.010)
Si (0.522, 0.151, 0.610)
Si (0.978, 0.849, 0.110)
Si (0.022, 0.349, 0.390)
Si (0.478, 0.651, 0.890)
Si (0.100, 0.794, 0.440)
Si (0.400, 0.206, 0.940)
Si (0.600, 0.706, 0.560)
Si (0.900, 0.294, 0.060)
O (0.609, 0.112, 0.718)
O (0.891, 0.888, 0.218)
O (0.109, 0.388, 0.282)
O (0.391, 0.612, 0.782)
O (0.213, 0.111, 0.583)
O (0.287, 0.889, 0.083)
O (0.713, 0.389, 0.417)
O (0.787, 0.611, 0.917)
O (0.403, 0.752, 0.471)
O (0.097, 0.248, 0.971)
O (0.903, 0.748, 0.529)
O (0.597, 0.252, 0.029)
O (0.094, 0.950, 0.436)
O (0.406, 0.050, 0.936)
O (0.594, 0.550, 0.564)
O (0.906, 0.450, 0.064)
O (0.551, 0.305, 0.591)
O (0.949, 0.695, 0.091)
O (0.051, 0.195, 0.409)
O (0.449, 0.805, 0.909)
O (0.710, 0.077, 0.529)
O (0.790, 0.923, 0.029)
O (0.210, 0.423, 0.471)
O (0.290, 0.577, 0.971)
O (0.030, 0.731, 0.335)
O (0.470, 0.269, 0.835)
O (0.530, 0.769, 0.665)
O (0.970, 0.231, 0.165)

---

| no. | DFT formation energy (eV/atom) |
| --- | --- |
| 1 | -1.3721 |
| 2 | -3.4663 |
| 3 | -2.8272 |
| 4 | -0.0494 |
| 5 | -0.6094 |
| 6 | -0.3725 |
| 7 | -2.1954 |
| 8 | -2.8860 |